*w*
Crystalline Ga4Bi2O9 at its relaxed geometry. Source: the Materials Project database, functional PBE.

```
30
Lattice="-1.426 5.371 2.276 -7.204 -2.833 2.171 3.167 -2.326 7.475" Properties=species:S:1:pos:R:3 pbc="T T T"
Ga 0.314 0.724 6.411
Ga -5.777 -0.513 5.510
Ga -2.732 -1.101 8.807
Ga -2.731 1.312 3.114
Ga -2.387 -1.191 5.411
Ga -1.058 3.981 1.687
Ga -3.076 1.402 6.510
Ga -0.369 1.389 0.589
Bi 0.290 -2.839 6.880
Bi -4.326 -2.321 2.765
Bi -3.798 -3.899 6.820
Bi -0.239 -1.261 2.825
O -4.315 1.269 2.223
O 0.870 1.522 4.875
O -5.973 -1.653 4.016
O 1.242 -0.890 6.738
O -2.847 2.330 4.703
O -3.348 0.636 8.386
O 0.510 1.864 7.905
O -6.705 1.101 5.183
O -2.616 -2.119 7.218
O -2.115 -0.425 3.535
O -1.487 0.268 6.357
O -3.976 -0.057 5.564
O -0.874 -0.574 0.807
O -3.162 -4.585 8.838
O -3.301 -2.854 4.666
O -0.736 -2.306 4.979
O -1.378 2.097 2.110
O -4.085 -1.886 9.811
```

Results
- calculated volume (Å³/f.u.) = 203.8
- space-group type = Pbam, No. 55


*x*
Crystalline Ga4Bi2O9 at its relaxed geometry. Source: the Materials Project database, functional PBE.

```
60
Lattice="7.822 0.000 0.000 0.000 8.532 0.000 0.000 0.000 11.999" Properties=species:S:1:pos:R:3 pbc="T T T"
Ga 4.036 4.299 1.542
Ga 7.698 0.033 4.457
Ga 3.787 4.233 7.542
Ga 0.124 8.499 10.457
Ga 3.787 4.233 10.457
Ga 0.124 8.499 7.542
Ga 4.036 4.299 4.457
Ga 7.698 0.033 1.542
Ga 2.750 7.250 3.000
Ga 1.161 2.984 3.000
Ga 5.072 1.282 8.999
Ga 6.662 5.548 8.999
Ga 6.763 5.799 3.000
Ga 4.970 1.533 3.000
Ga 1.059 2.734 8.999
Ga 2.852 7.000 8.999
Bi 1.332 5.787 0.216
Bi 2.579 1.521 5.784
Bi 6.490 2.745 6.215
Bi 5.243 7.011 11.784
Bi 6.490 2.745 11.784
Bi 5.243 7.011 6.215
Bi 1.332 5.787 5.784
Bi 2.579 1.521 0.216
O 1.218 8.012 0.105
O 2.693 3.746 5.895
O 6.604 0.520 6.104
O 5.129 4.786 11.895
O 6.604 0.520 11.895
O 5.129 4.786 6.104
O 1.218 8.012 5.895
O 2.693 3.746 0.105
O 0.917 7.688 3.000
O 2.994 3.422 3.000
O 6.905 0.844 8.999
O 4.828 5.110 8.999
O 5.120 4.947 3.000
O 6.613 0.681 3.000
O 2.702 3.585 8.999
O 1.209 7.851 8.999
O 3.093 6.152 1.493
O 0.818 1.886 4.507
O 4.729 2.381 7.492
O 7.004 6.647 10.507
O 4.729 2.381 10.507
O 7.004 6.647 7.492
O 3.093 6.152 4.507
O 0.818 1.886 1.493
O 6.721 6.805 1.403
O 5.012 2.539 4.597
O 1.101 1.727 7.403
O 2.810 5.993 10.596
O 1.101 1.727 10.596
O 2.810 5.993 7.403
O 6.721 6.805 4.597
O 5.012 2.539 1.403
O 3.524 0.389 3.000
O 0.387 4.655 3.000
O 4.298 8.143 8.999
O 7.435 3.877 8.999
```

Results
- calculated volume (Å³/f.u.) = 200.2
- space-group type = Pnma, No. 62


Most stable: *w* (next structure +6 meV per atom)


*w*
Crystalline Ge2BiO6 at its relaxed geometry. Source: the Materials Project database, functional PBE.

```
18
Lattice="4.846 5.277 0.000 -4.846 5.277 0.000 0.000 1.816 5.449" Properties=species:S:1:pos:R:3 pbc="T T T"
Ge -0.761 4.498 4.085
Ge -0.761 8.779 4.088
Ge 0.761 7.871 1.364
Ge 0.761 3.590 1.360
Bi -3.649 6.639 4.086
Bi 3.649 5.731 1.362
O 0.271 4.693 2.663
O 0.271 6.768 0.061
O -0.271 7.676 2.785
O -0.271 5.602 5.388
O 2.434 3.965 1.000
O 2.434 7.496 1.724
O -2.434 8.404 4.448
O -2.434 4.873 3.725
O -0.589 2.795 4.690
O -0.589 10.482 3.483
O 0.589 9.574 0.759
O 0.589 1.887 1.966
```

Results
- calculated volume (Å³/f.u.) = 139.3
- space-group type = C2/c, No. 15


*x*
Crystalline Ge2BiO6 at its relaxed geometry. Source: the Materials Project database, functional PBE.

```
36
Lattice="9.635 0.000 0.000 0.000 5.706 0.000 0.000 2.476 10.413" Properties=species:S:1:pos:R:3 pbc="T T T"
Ge 6.530 4.509 0.497
Ge 1.712 6.526 9.916
Ge 3.105 3.673 9.916
Ge 7.923 1.656 0.497
Ge 6.434 4.921 4.946
Ge 1.616 6.114 5.468
Ge 3.201 3.261 5.468
Ge 8.019 2.068 4.946
Bi 3.624 4.947 2.495
Bi 8.442 6.088 7.918
Bi 6.011 3.235 7.918
Bi 1.193 2.094 2.495
O 7.218 6.360 4.260
O 2.400 4.675 6.153
O 2.417 1.822 6.153
O 7.235 3.507 4.260
O 6.687 0.497 1.044
O 1.870 4.833 9.369
O 2.948 7.686 9.369
O 7.766 3.349 1.044
O 0.060 2.212 4.381
O 4.878 3.117 6.032
O 9.575 5.970 6.032
O 4.757 5.065 4.381
O 9.464 1.113 1.123
O 4.646 4.216 9.291
O 0.171 7.069 9.291
O 4.989 3.966 1.123
O 6.694 7.051 9.107
O 1.877 3.984 1.306
O 2.941 1.131 1.306
O 7.759 4.198 9.107
O 6.697 5.010 6.752
O 1.879 6.025 3.662
O 2.939 3.172 3.662
O 7.756 2.157 6.752
```

Results
- calculated volume (Å³/f.u.) = 143.1
- space-group type = P2_1/c, No. 14


Most stable: *w* (next structure +25 meV per atom)


*w*
Crystalline Ho5Bi3 at its relaxed geometry. Source: the Materials Project database, functional PBE.

```
32
Lattice="-4.821 3.387 -5.745 4.641 -4.839 -6.747 -7.763 -9.071 1.165" Properties=species:S:1:pos:R:3 pbc="T T T"
Ho 0.098 -4.390 -6.841
Ho -2.840 -3.312 -9.635
Ho -8.041 -6.132 -4.485
Ho -5.103 -7.210 -1.692
Ho -1.176 -0.920 -7.714
Ho -0.007 -7.878 -6.904
Ho -8.492 -7.804 -1.105
Ho -6.212 -4.443 -6.931
Ho -6.767 -9.602 -3.613
Ho -7.937 -2.645 -4.423
Ho 0.549 -2.719 -10.221
Ho -1.732 -6.080 -4.396
Ho -4.937 -4.030 -3.858
Ho -3.635 2.001 -7.288
Ho -3.007 -6.493 -7.469
Ho -4.308 -12.524 -4.039
Ho -2.051 -2.122 -3.241
Ho -4.956 -1.007 -6.039
Ho -5.892 -8.401 -8.085
Ho -2.987 -9.516 -5.287
Bi -5.907 -10.941 -6.273
Bi -5.096 -5.483 -9.630
Bi -2.036 0.419 -5.053
Bi -2.847 -5.039 -1.697
Bi -0.632 -5.858 -9.593
Bi 0.667 -3.795 -3.573
Bi -5.025 -7.048 -5.057
Bi -10.896 -4.344 -4.430
Bi -7.311 -4.664 -1.733
Bi -8.610 -6.727 -7.753
Bi -2.918 -3.475 -6.270
Bi 2.953 -6.179 -6.897
```

Results
- calculated volume (Å³/f.u.) = 234.8
- space-group type = Pnma, No. 62


*x*
Crystalline Ho5Bi3 at its relaxed geometry. Source: the Materials Project database, functional PBE.

```
32
Lattice="-3.350 -6.719 -3.533 -3.621 -2.577 8.336 -9.997 6.251 -2.409" Properties=species:S:1:pos:R:3 pbc="T T T"
Ho -5.397 -6.452 1.672
Ho -11.382 -3.540 4.010
Ho -10.206 4.379 -2.421
Ho -6.951 -0.477 1.528
Ho -11.571 3.407 0.722
Ho -5.586 0.495 -1.615
Ho -6.762 -7.424 4.816
Ho -10.017 -2.568 0.866
Ho -5.608 -1.662 5.080
Ho -11.112 0.449 3.342
Ho -11.360 -1.383 -2.685
Ho -5.856 -3.494 -0.947
Ho -4.359 -5.090 4.562
Ho -7.851 1.057 4.946
Ho -12.609 2.046 -2.168
Ho -9.117 -4.101 -2.552
Ho -7.819 -4.522 3.235
Ho -13.448 -2.662 1.365
Ho -9.149 1.478 -0.841
Ho -3.520 -0.383 1.029
Bi -8.832 -1.666 3.678
Bi -12.801 3.524 3.559
Bi -8.136 -1.379 -1.284
Bi -4.167 -6.569 -1.164
Bi -8.224 -5.554 0.165
Bi -13.733 -1.199 4.268
Bi -7.002 3.749 -1.780
Bi -4.976 -3.086 2.136
Bi -8.744 2.509 2.229
Bi -3.235 -1.846 -1.874
Bi -9.966 -6.793 4.175
Bi -11.992 0.041 0.259
```

Results
- calculated volume (Å³/f.u.) = 235.8
- space-group type = Pnma, No. 62


Most stable: *w* (next structure +8 meV per atom)


*w*
Crystalline LiBi2I2O2 at its relaxed geometry. Source: the Materials Project database, functional PBE.

```
7
Lattice="4.224 0.000 0.000 0.000 4.549 0.000 0.000 0.000 10.089" Properties=species:S:1:pos:R:3 pbc="T T T"
Li 1.056 3.412 2.257
Bi 3.168 3.412 8.800
Bi 1.056 1.137 0.677
I 1.056 1.137 7.085
I 3.168 3.412 3.601
O 3.168 1.137 9.838
O 1.056 3.412 0.027
```

Results
- calculated volume (Å³/f.u.) = 193.9
- space-group type = Pmm2, No. 25


*x*
Crystalline LiBi2I2O2 at its relaxed geometry. Source: the Materials Project database, functional PBE.

```
7
Lattice="4.233 0.000 0.000 0.000 4.233 0.000 0.000 0.000 10.000" Properties=species:S:1:pos:R:3 pbc="T T T"
Li 1.058 3.175 5.000
Bi 3.175 3.175 8.918
Bi 1.058 1.058 1.082
I 1.058 1.058 6.775
I 3.175 3.175 3.225
O 3.175 1.058 0.000
O 1.058 3.175 0.000
```

Results
- calculated volume (Å³/f.u.) = 179.2
- space-group type = P-4m2, No. 115


Most stable: *x* (next structure +176 meV per atom)